! LiTbCu2P2 | Materials Project | GGA-PBE | optimized geometry; values from VASP
&SYSTEM
  ibrav = 0, nat = 6, ntyp = 4
/
ATOMIC_SPECIES
Li 6.94 Li.upf
Tb 158.93 Tb.upf
Cu 63.55 Cu.upf
P 30.97 P.upf
CELL_PARAMETERS angstrom
3.989 0.000 0.000
-1.994 3.454 0.000
0.000 0.000 6.590
ATOMIC_POSITIONS angstrom
Li 0.000 0.000 0.000
Tb 0.000 0.000 3.295
Cu 0.000 2.303 1.108
Cu 1.994 1.151 5.482
P 0.000 2.303 5.025
P 1.994 1.151 1.565
! formation energy from the elements	-0.804	eV/atom